This record from the Materials Project describes a geometry-optimized UCl4 structure. The functional is PBE.

Summary:
The calculation puts the energy at -5.437 eV per atom. The formation energy is -211.4 kJ/mol of atoms. Its crystal system is tetragonal. As for the space group: No. 141.

The structure in POSCAR format:
```
UCl4
1.0
-2.566 -5.967 2.822
-1.327 5.749 3.916
-3.140 0.919 -6.281
Cl U
8 2
Cartesian
-4.190 -3.494 -1.939 Cl
-4.722 1.725 -1.019 Cl
-3.742 -1.105 3.953 Cl
-2.030 -1.583 -0.629 Cl
-3.525 -0.412 -3.703 Cl
-2.076 1.193 1.683 Cl
-5.387 -1.357 0.746 Cl
-3.696 -3.881 1.641 Cl
0.000 0.000 0.000 U
-3.207 3.280 0.502 U
```

***

This record from the Materials Project describes a geometry-optimized WCl5 structure. The functional is PBE.

Summary:
The calculation puts the energy at -4.526 eV per atom. The formation energy is -129.0 kJ/mol of atoms. Its crystal system is monoclinic. As for the space group: No. 12.

The structure in POSCAR format:
```
WCl5
1.0
9.255 9.372 0.000
-9.255 9.372 0.000
0.000 0.675 6.566
Cl W
30 6
Cartesian
-7.549 8.218 1.954 Cl
-3.457 13.992 1.652 Cl
-1.706 5.019 2.116 Cl
-1.706 14.400 4.450 Cl
1.706 5.019 2.116 Cl
-3.458 11.608 4.041 Cl
-1.712 8.226 5.331 Cl
-5.797 8.586 5.718 Cl
1.706 14.400 4.450 Cl
1.712 11.193 1.235 Cl
0.000 5.458 4.887 Cl
0.000 13.962 1.680 Cl
0.000 7.794 2.561 Cl
3.457 5.428 4.915 Cl
-1.712 11.193 1.235 Cl
7.549 8.218 1.954 Cl
-5.797 10.833 0.848 Cl
1.712 8.226 5.331 Cl
-7.549 11.202 4.612 Cl
7.549 11.202 4.612 Cl
3.458 7.812 2.525 Cl
3.458 11.608 4.041 Cl
3.457 13.992 1.652 Cl
0.000 18.002 5.722 Cl
0.000 1.417 0.844 Cl
-3.457 5.428 4.915 Cl
-3.458 7.812 2.525 Cl
0.000 11.626 4.006 Cl
5.797 10.833 0.848 Cl
5.797 8.586 5.718 Cl
1.929 6.624 3.722 W
7.326 9.372 0.000 W
-1.929 6.624 3.722 W
-1.929 12.796 2.844 W
1.929 12.796 2.844 W
-7.326 9.372 0.000 W
```

***

This record from the Materials Project describes a geometry-optimized WCl6 structure. The functional is PBE.

Summary:
The calculation puts the energy at -4.289 eV per atom. The formation energy is -133.1 kJ/mol of atoms. Its crystal system is trigonal. As for the space group: No. 148.

The structure in POSCAR format:
```
WCl6
1.0
6.318 -3.311 0.000
6.318 3.311 0.000
4.582 0.000 5.466
Cl W
6 1
Cartesian
10.864 -0.917 1.166 Cl
10.116 2.342 3.520 Cl
6.355 0.917 4.300 Cl
9.636 -1.426 5.033 Cl
7.582 1.426 0.433 Cl
7.102 -2.342 1.946 Cl
0.000 0.000 0.000 W
```

***

This record from the Materials Project describes a geometry-optimized WCl4 structure. The functional is PBE.

Summary:
The calculation puts the energy at -4.898 eV per atom. The formation energy is -127.3 kJ/mol of atoms. Its crystal system is monoclinic. As for the space group: No. 12.

The structure in POSCAR format:
```
WCl4
1.0
-1.460 -6.930 -0.251
3.366 -4.742 -4.050
5.063 -6.225 2.847
Cl W
8 2
Cartesian
2.418 -10.381 -2.907 Cl
4.551 -7.515 1.453 Cl
1.111 -7.965 -0.233 Cl
3.649 -6.814 -2.232 Cl
5.589 -13.137 -0.466 Cl
3.320 -11.083 0.778 Cl
5.859 -9.932 -1.220 Cl
1.381 -4.759 -0.987 Cl
2.378 -5.190 -3.272 W
-0.472 -6.482 -1.028 W
```

***

This record from the Materials Project describes a geometry-optimized WCl6 structure. The functional is PBE.

Summary:
The calculation puts the energy at -4.289 eV per atom. The formation energy is -133.1 kJ/mol of atoms. Its crystal system is trigonal. As for the space group: No. 164.

The structure in POSCAR format:
```
WCl6
1.0
5.637 -9.764 0.000
5.637 9.764 0.000
0.000 0.000 6.215
Cl W
18 3
Cartesian
7.271 -2.311 2.009 Cl
5.637 -5.141 2.009 Cl
5.637 1.371 1.542 Cl
7.268 4.196 1.542 Cl
4.003 2.311 4.206 Cl
9.643 0.942 1.332 Cl
1.632 0.942 1.332 Cl
7.268 -4.196 4.673 Cl
4.006 4.196 1.542 Cl
4.003 -2.311 2.009 Cl
5.637 5.141 4.206 Cl
7.271 2.311 4.206 Cl
9.643 -0.942 4.883 Cl
5.637 -7.880 4.883 Cl
5.637 7.880 1.332 Cl
4.006 -4.196 4.673 Cl
5.637 -1.371 4.673 Cl
1.632 -0.942 4.883 Cl
5.637 3.255 2.877 W
0.000 0.000 0.000 W
5.637 -3.255 3.339 W
```

***

This record from the Materials Project describes a geometry-optimized YCl3 structure. The functional is PBE.

Summary:
The calculation puts the energy at -5.287 eV per atom. The formation energy is -264.8 kJ/mol of atoms. Its crystal system is monoclinic. As for the space group: No. 12.

The structure in POSCAR format:
```
YCl3
1.0
-6.052 -3.504 0.000
6.052 -3.504 0.000
0.000 2.392 6.649
Cl Y
6 2
Cartesian
-2.259 -4.812 1.490 Cl
2.259 -4.812 1.490 Cl
2.259 0.196 5.159 Cl
-2.259 0.196 5.159 Cl
0.000 -0.844 1.523 Cl
0.000 -3.773 5.126 Cl
4.036 -3.504 0.000 Y
-4.036 -3.504 0.000 Y
```

***

This record from the Materials Project describes a geometry-optimized ZnCl3 structure. The functional is PBE.

Summary:
The calculation puts the energy at -2.232 eV per atom. The formation energy is -95.7 kJ/mol of atoms. Its crystal system is hexagonal. Its size of the total moment is 0.00 μB/f.u. As for the space group: No. 176.

The structure in POSCAR format:
```
ZnCl3
1.0
-7.132 4.236 -5.228
-0.792 -0.646 9.752
1.325 2.575 0.278
Cl Zn
6 2
Cartesian
-0.516 2.333 3.684 Cl
-3.545 3.824 4.311 Cl
-3.054 2.341 0.491 Cl
-6.083 3.832 1.118 Cl
-1.673 2.580 6.907 Cl
-4.926 3.585 -2.105 Cl
-2.574 1.625 4.828 Zn
-4.025 4.540 -0.026 Zn
```

***

This record from the Materials Project describes a geometry-optimized Zr2Cl5 structure. The functional is PBE.

Summary:
The calculation puts the energy at -5.404 eV per atom. The formation energy is -200.7 kJ/mol of atoms. Its crystal system is cubic. Its size of the total moment is 1.67 μB/f.u. As for the space group: No. 230.

The structure in POSCAR format:
```
Zr2Cl5
1.0
17.792 0.000 -6.290
-8.896 15.408 -6.290
0.000 0.000 18.871
Cl Zr
120 48
Cartesian
5.830 5.740 5.806 Cl
6.159 7.919 0.003 Cl
-1.921 5.759 14.046 Cl
7.624 3.852 12.807 Cl
10.817 9.649 -7.756 Cl
-0.795 4.677 -1.573 Cl
0.421 3.161 7.756 Cl
6.841 0.330 12.784 Cl
-0.742 13.464 2.942 Cl
3.406 6.330 9.439 Cl
6.329 14.192 4.071 Cl
-2.112 9.319 13.507 Cl
-1.272 11.556 -2.920 Cl
11.962 5.740 -2.661 Cl
4.924 0.825 -0.226 Cl
11.008 6.089 -7.217 Cl
-3.972 14.584 2.920 Cl
11.741 2.179 6.356 Cl
6.784 6.089 10.362 Cl
2.969 1.964 9.852 Cl
6.196 3.027 3.371 Cl
7.633 6.115 2.729 Cl
10.168 3.852 9.210 Cl
0.000 6.055 4.718 Cl
-6.329 14.192 5.364 Cl
3.438 9.883 9.920 Cl
4.232 4.151 12.165 Cl
8.101 10.732 -4.718 Cl
15.226 1.216 0.926 Cl
-2.700 12.381 6.516 Cl
-3.066 9.668 8.951 Cl
-3.406 6.330 -0.003 Cl
12.334 5.525 6.775 Cl
15.400 0.215 -3.630 Cl
-5.927 13.444 -5.874 Cl
2.845 13.230 9.501 Cl
-2.845 13.230 -0.065 Cl
11.596 3.027 -0.226 Cl
9.691 10.732 7.863 Cl
3.310 14.034 -0.065 Cl
5.892 10.865 2.188 Cl
6.975 9.649 -7.971 Cl
1.921 5.759 14.261 Cl
9.885 7.374 8.479 Cl
-3.438 9.883 -0.484 Cl
11.915 8.529 -4.718 Cl
5.458 5.525 -3.630 Cl
8.475 12.248 -1.465 Cl
10.159 6.115 0.416 Cl
2.567 1.216 2.219 Cl
-6.881 12.578 2.188 Cl
12.868 0.825 3.371 Cl
1.313 13.794 -2.942 Cl
8.227 13.819 -6.287 Cl
2.015 2.831 -0.957 Cl
4.218 10.535 5.364 Cl
-1.263 9.294 5.874 Cl
9.360 3.553 -3.080 Cl
15.777 2.831 4.102 Cl
4.664 11.258 -5.874 Cl
13.114 4.873 2.219 Cl
-0.421 3.161 1.680 Cl
3.004 4.543 4.102 Cl
6.051 2.179 -3.210 Cl
1.272 11.556 -6.516 Cl
14.823 1.964 12.165 Cl
10.396 8.920 -1.680 Cl
0.742 13.464 6.493 Cl
2.112 9.319 -4.071 Cl
0.464 11.855 0.065 Cl
-4.664 11.258 -3.561 Cl
1.263 9.294 3.561 Cl
2.055 15.078 -6.493 Cl
0.000 1.650 4.718 Cl
-2.055 15.078 -2.942 Cl
0.989 8.034 11.624 Cl
5.587 1.375 6.356 Cl
-0.670 1.589 15.729 Cl
2.700 12.381 2.920 Cl
10.951 0.330 9.233 Cl
9.566 13.819 -9.439 Cl
8.896 9.354 1.573 Cl
-1.500 6.488 7.971 Cl
3.066 9.668 0.484 Cl
-1.313 13.794 -6.493 Cl
3.019 6.879 -1.573 Cl
-2.737 7.489 3.148 Cl
12.302 9.079 6.294 Cl
2.737 7.489 6.287 Cl
12.206 1.375 -3.210 Cl
11.633 7.919 3.142 Cl
5.877 8.529 7.863 Cl
9.638 1.945 3.348 Cl
8.432 3.553 6.225 Cl
6.881 12.578 7.247 Cl
4.678 4.873 0.926 Cl
10.209 1.615 12.784 Cl
-0.464 11.855 9.371 Cl
-4.218 10.535 4.071 Cl
0.795 4.677 11.008 Cl
-3.019 6.879 11.008 Cl
7.907 7.374 -5.334 Cl
-6.504 15.194 9.920 Cl
7.583 1.615 9.233 Cl
13.560 4.151 9.852 Cl
0.670 1.589 12.578 Cl
5.927 13.444 -3.561 Cl
8.154 1.945 -0.203 Cl
9.317 12.248 4.610 Cl
2.392 0.215 6.775 Cl
5.490 9.079 -3.148 Cl
-5.892 10.865 7.247 Cl
-3.310 14.034 9.501 Cl
7.396 8.920 4.825 Cl
3.972 14.584 6.516 Cl
8.896 13.759 1.573 Cl
1.500 6.488 1.465 Cl
14.788 4.543 -0.957 Cl
6.504 15.194 -0.484 Cl
-0.989 8.034 -2.188 Cl
9.348 13.181 6.979 Zr
12.753 8.125 -2.261 Zr
3.648 9.931 2.949 Zr
-0.452 2.227 -0.688 Zr
5.039 8.125 5.406 Zr
2.745 6.199 11.893 Zr
3.788 7.403 -4.030 Zr
2.328 0.421 -0.197 Zr
-0.069 0.722 7.175 Zr
-2.293 6.982 5.602 Zr
15.464 0.421 3.342 Zr
-3.857 7.283 8.551 Zr
-3.788 7.403 13.465 Zr
1.216 13.904 1.376 Zr
12.544 5.477 -0.197 Zr
2.293 6.982 3.834 Zr
8.201 1.806 14.350 Zr
0.452 2.227 10.124 Zr
12.684 8.005 -7.175 Zr
11.815 5.898 9.239 Zr
3.857 7.283 0.884 Zr
8.965 14.686 -0.884 Zr
8.444 13.181 -3.834 Zr
10.808 0.301 4.915 Zr
6.151 9.209 -5.602 Zr
5.248 5.477 3.342 Zr
1.912 15.107 8.060 Zr
10.113 1.505 -1.769 Zr
5.108 8.005 10.320 Zr
5.977 5.898 12.778 Zr
9.591 1.806 7.666 Zr
-6.568 14.987 2.949 Zr
-2.745 6.199 -2.457 Zr
2.919 9.510 -6.487 Zr
-1.216 13.904 8.060 Zr
0.069 0.722 2.261 Zr
0.695 13.602 -8.060 Zr
-0.695 13.602 -1.376 Zr
11.641 9.209 8.747 Zr
8.827 14.686 4.030 Zr
-1.912 15.107 1.376 Zr
6.603 8.426 2.457 Zr
-2.919 9.510 -2.949 Zr
6.568 14.987 6.487 Zr
11.189 8.426 0.688 Zr
6.985 0.301 -1.769 Zr
-3.648 9.931 6.487 Zr
7.680 1.505 4.915 Zr
```

***

This record from the Materials Project describes a geometry-optimized ZrCl structure. The functional is PBE.

Summary:
The calculation puts the energy at -6.423 eV per atom. The formation energy is -147.8 kJ/mol of atoms. Its crystal system is trigonal. As for the space group: No. 164.

The structure in POSCAR format:
```
ZrCl
1.0
-2.489 0.818 2.107
2.366 -2.186 0.961
5.299 7.247 3.444
Cl Zr
2 2
Cartesian
5.088 4.752 4.165 Cl
0.087 1.126 2.347 Cl
2.702 1.489 2.614 Zr
2.473 4.390 3.899 Zr
```

***

This record from the Materials Project describes a geometry-optimized ZrCl3 structure. The functional is PBE.

Summary:
The calculation puts the energy at -5.241 eV per atom. The formation energy is -210.1 kJ/mol of atoms. Its crystal system is triclinic. As for the space group: No. 2.

The structure in POSCAR format:
```
ZrCl3
1.0
-2.034 5.923 0.450
1.852 -2.096 -5.635
-5.517 -5.186 0.106
Cl Zr
6 2
Cartesian
-4.103 -1.474 -3.902 Cl
-0.784 0.769 -4.901 Cl
-4.914 -2.128 -0.178 Cl
-2.133 3.587 -2.758 Cl
-3.565 -4.947 -2.322 Cl
-1.595 0.115 -1.177 Cl
-1.480 4.778 -0.416 Zr
-4.218 -6.137 -4.664 Zr
```

***

This record from the Materials Project describes a geometry-optimized ZrCl structure. The functional is PBE.

Summary:
The calculation puts the energy at -6.481 eV per atom. The formation energy is -153.4 kJ/mol of atoms. Its crystal system is trigonal. As for the space group: No. 166.

The structure in POSCAR format:
```
ZrCl
1.0
-1.316 -6.366 -7.673
-3.502 -7.741 -5.379
-4.524 -5.118 -7.380
Zr Cl
2 2
Cartesian
-3.488 -7.178 -7.629 Zr
-5.853 -12.046 -12.803 Zr
-0.926 -1.907 -2.026 Cl
-8.415 -17.318 -18.405 Cl
```

***

This record from the Materials Project describes a geometry-optimized ZrCl3 structure. The functional is PBE.

Summary:
The calculation puts the energy at -5.267 eV per atom. The formation energy is -212.6 kJ/mol of atoms. Its crystal system is hexagonal. As for the space group: No. 193.

The structure in POSCAR format:
```
ZrCl3
1.0
0.000 0.000 -6.098
-3.482 -6.031 0.000
-3.482 6.031 0.000
Cl Zr
6 2
Cartesian
-2.450 -4.244 -4.574 Cl
-2.450 4.244 -4.574 Cl
-4.900 0.000 -1.525 Cl
-2.064 0.000 -4.574 Cl
-1.032 -1.787 -1.525 Cl
-1.032 1.787 -1.525 Cl
0.000 0.000 0.000 Zr
0.000 0.000 -3.049 Zr
```